1.
The following is a DFT calculation (PBE with a Hubbard U) of crystalline Tb2WO6 at its relaxed geometry.

POSCAR file:
```
Tb2WO6
1.0
5.3060 0.0000 0.0000
0.0000 9.1842 0.0000
0.0000 0.0000 10.0398
Tb W O
8 4 24
Direct
0.0200 0.1033 0.4652
0.0376 0.2191 0.8713
0.4624 0.7809 0.3713
0.4800 0.8967 0.9652
0.5200 0.3967 0.5348
0.5376 0.2809 0.1287
0.9624 0.7191 0.6287
0.9800 0.6033 0.0348
0.0395 0.4955 0.3479
0.4605 0.5045 0.8479
0.5395 0.0045 0.6521
0.9605 0.9955 0.1521
0.0844 0.8437 0.0304
0.1750 0.9524 0.2974
0.1818 0.6382 0.8191
0.1923 0.6400 0.2358
0.2306 0.1141 0.0672
0.2487 0.5898 0.4932
0.2513 0.4102 0.9932
0.2694 0.8859 0.5672
0.3077 0.3600 0.7358
0.3182 0.3618 0.3191
0.3250 0.0476 0.7974
0.4156 0.1563 0.5304
0.5844 0.6563 0.9696
0.6750 0.5476 0.7026
0.6818 0.8618 0.1809
0.6923 0.8600 0.7642
0.7306 0.3859 0.9328
0.7487 0.9102 0.5068
0.7513 0.0898 0.0068
0.7694 0.6141 0.4328
0.8077 0.1400 0.2642
0.8182 0.1382 0.6809
0.8250 0.4524 0.2026
0.9156 0.3437 0.4696
```

Output
Symmetry ... P2_12_12_1 (19)
Volume ... 489.3 Å³ per cell
Raw total energy ... -8.123 eV per atom

***

2.
The following is a DFT calculation (PBE with a Hubbard U) of crystalline TbWO5 at its relaxed geometry.

POSCAR file:
```
TbWO5
1.0
5.2987 0.0000 0.0000
0.0000 12.8940 0.0000
-3.1740 0.0000 6.2734
Tb W O
4 4 20
Direct
0.1381 0.0563 0.2833
0.1381 0.4437 0.7833
0.8619 0.5563 0.2167
0.8619 0.9437 0.7167
0.3838 0.1390 0.8444
0.3838 0.3610 0.3444
0.6162 0.6390 0.6556
0.6162 0.8610 0.1556
0.0263 0.0890 0.5680
0.0263 0.4110 0.0680
0.1904 0.0680 0.9698
0.1904 0.4320 0.4698
0.2719 0.6430 0.4257
0.2719 0.8570 0.9257
0.2926 0.2258 0.2946
0.2926 0.2742 0.7946
0.4925 0.5704 0.8425
0.4925 0.9296 0.3425
0.5075 0.0704 0.6575
0.5075 0.4296 0.1575
0.7074 0.7258 0.2054
0.7074 0.7742 0.7054
0.7281 0.1430 0.0743
0.7281 0.3570 0.5743
0.8096 0.5680 0.5302
0.8096 0.9320 0.0302
0.9737 0.5890 0.9320
0.9737 0.9110 0.4320
```

Output
Symmetry ... P2_1/c (14)
Volume ... 428.6 Å³ per cell
Raw total energy ... -7.541 eV per atom

***

3.
The following is a DFT calculation (PBE with a Hubbard U) of crystalline ThTeWO7 at its relaxed geometry.

POSCAR file:
```
ThTeWO7
1.0
4.0956 0.0000 0.0000
0.0000 8.6814 0.0000
-0.7449 0.0000 15.6655
Th Te W O
4 4 4 28
Direct
0.0031 0.1367 0.2756
0.0031 0.3633 0.7756
0.9969 0.6367 0.2244
0.9969 0.8633 0.7244
0.4242 0.5746 0.6084
0.4242 0.9254 0.1084
0.5758 0.0746 0.8916
0.5758 0.4254 0.3916
0.0882 0.1517 0.5553
0.0882 0.3483 0.0553
0.9118 0.6517 0.9447
0.9118 0.8483 0.4447
0.0016 0.0862 0.4346
0.0016 0.4138 0.9346
0.0107 0.0972 0.8464
0.0107 0.4028 0.3464
0.0251 0.1439 0.0396
0.0251 0.3561 0.5396
0.0339 0.1406 0.6769
0.0339 0.3594 0.1769
0.4707 0.6463 0.9451
0.4707 0.8537 0.4451
0.4910 0.7319 0.1689
0.4910 0.7681 0.6689
0.4934 0.0690 0.2008
0.4934 0.4310 0.7008
0.5066 0.5690 0.2992
0.5066 0.9310 0.7992
0.5090 0.2319 0.3311
0.5090 0.2681 0.8311
0.5293 0.1463 0.5549
0.5293 0.3537 0.0549
0.9661 0.6406 0.8231
0.9661 0.8594 0.3231
0.9749 0.6439 0.4604
0.9749 0.8561 0.9604
0.9893 0.5972 0.6536
0.9893 0.9028 0.1536
0.9984 0.5862 0.0654
0.9984 0.9138 0.5654
```

Output
Symmetry ... P2_1/c (14)
Volume ... 557.0 Å³ per cell
Raw total energy ... -7.505 eV per atom

***

4.
The following is a DFT calculation (PBE with a Hubbard U) of crystalline ThTe2WO9 at its relaxed geometry.

POSCAR file:
```
ThTe2WO9
1.0
-9.8748 9.8748 3.8886
9.8748 -9.8748 3.8886
9.8748 9.8748 -3.8886
Th Te W O
8 16 8 72
Direct
0.1554 0.7871 0.8962
0.2408 0.3446 0.1317
0.2871 0.8909 0.6317
0.3909 0.2592 0.6038
0.6091 0.7408 0.3962
0.7129 0.1091 0.3683
0.7592 0.6554 0.8683
0.8446 0.2129 0.1038
0.0460 0.1743 0.3564
0.1015 0.9481 0.0987
0.1896 0.5460 0.3717
0.3179 0.6896 0.1436
0.3257 0.1821 0.8717
0.3494 0.0029 0.4013
0.4481 0.8494 0.8465
0.4971 0.3985 0.3465
0.5029 0.6015 0.6535
0.5519 0.1506 0.1535
0.6506 0.9971 0.5987
0.6743 0.8179 0.1283
0.6821 0.3104 0.8564
0.8104 0.4540 0.6283
0.8985 0.0519 0.9013
0.9540 0.8257 0.6436
0.0002 0.3915 0.8595
0.9998 0.6085 0.1405
0.0320 0.1407 0.6405
0.1085 0.4680 0.6087
0.3593 0.4998 0.8913
0.6407 0.5002 0.1087
0.8915 0.5320 0.3913
0.9680 0.8593 0.3595
0.0110 0.1533 0.2234
0.0307 0.6257 0.0187
0.0372 0.2708 0.6161
0.0445 0.6840 0.7205
0.0642 0.3942 0.4648
0.0789 0.4628 0.7336
0.0934 0.9021 0.9669
0.0995 0.5642 0.1700
0.1058 0.0705 0.6700
0.1071 0.0121 0.4813
0.1257 0.6071 0.5950
0.1465 0.1139 0.1028
0.1493 0.0185 0.2975
0.1547 0.4211 0.8839
0.1649 0.2609 0.9471
0.1760 0.4555 0.1395
0.1840 0.9635 0.6395
0.1862 0.7822 0.4471
0.2210 0.8518 0.2025
0.2292 0.3453 0.7664
0.2391 0.6862 0.9040
0.2822 0.3351 0.5960
0.2876 0.5110 0.3577
0.3467 0.0700 0.8577
0.3518 0.6493 0.6308
0.3735 0.4066 0.3087
0.3861 0.9889 0.0326
0.4021 0.9352 0.8087
0.4295 0.5995 0.0352
0.4300 0.7876 0.2766
0.4352 0.1265 0.5331
0.4563 0.3535 0.4674
0.4635 0.3240 0.7795
0.4815 0.2790 0.1308
0.4879 0.4693 0.0950
0.4889 0.9563 0.6028
0.5111 0.0437 0.3972
0.5121 0.5307 0.9050
0.5185 0.7210 0.8692
0.5365 0.6760 0.2205
0.5437 0.6465 0.5326
0.5648 0.8735 0.4669
0.5700 0.2124 0.7234
0.5705 0.4005 0.9648
0.5979 0.0648 0.1913
0.6139 0.0111 0.9674
0.6265 0.5934 0.6913
0.6482 0.3507 0.3692
0.6533 0.9300 0.1423
0.7124 0.4890 0.6423
0.7178 0.6649 0.4040
0.7609 0.3138 0.0960
0.7708 0.6547 0.2336
0.7790 0.1482 0.7975
0.8138 0.2178 0.5529
0.8160 0.0365 0.3605
0.8240 0.5445 0.8605
0.8351 0.7391 0.0529
0.8453 0.5789 0.1161
0.8507 0.9815 0.7025
0.8535 0.8861 0.8972
0.8743 0.3929 0.4050
0.8929 0.9879 0.5187
0.8942 0.9295 0.3300
0.9005 0.4358 0.8300
0.9066 0.0979 0.0331
0.9211 0.5372 0.2664
0.9358 0.6058 0.5352
0.9555 0.3160 0.2795
0.9628 0.7292 0.3839
0.9693 0.3743 0.9813
0.9890 0.8467 0.7766
```

Output
Symmetry ... I4_1/a (88)
Volume ... 1516.7 Å³ per cell
Raw total energy ... -7.026 eV per atom

***

5.
The following is a DFT calculation (PBE with a Hubbard U) of crystalline TlVTeO5 at its relaxed geometry.

POSCAR file:
```
TlVTeO5
1.0
7.3867 0.0000 0.0000
0.0000 8.8193 0.0000
0.0000 0.0000 7.9380
Tl V Te O
4 4 4 20
Direct
0.0235 0.1077 0.0000
0.4765 0.6077 0.5000
0.5235 0.3923 0.0000
0.9765 0.8923 0.5000
0.2217 0.7422 0.8833
0.2783 0.2422 0.3833
0.7217 0.7578 0.8833
0.7783 0.2578 0.3833
0.0227 0.5326 0.1948
0.4773 0.0326 0.6948
0.5227 0.9674 0.1948
0.9773 0.4674 0.6948
0.0637 0.1749 0.3571
0.1012 0.5507 0.9577
0.1276 0.6353 0.6488
0.2253 0.8182 0.0795
0.2447 0.4224 0.2479
0.2553 0.9224 0.7479
0.2747 0.3182 0.5795
0.3724 0.1353 0.1488
0.3988 0.0507 0.4577
0.4363 0.6749 0.8571
0.5637 0.3251 0.3571
0.6012 0.9493 0.9577
0.6276 0.8647 0.6488
0.7253 0.6818 0.0795
0.7447 0.0776 0.2479
0.7553 0.5776 0.7479
0.7747 0.1818 0.5795
0.8724 0.3647 0.1488
0.8988 0.4493 0.4577
0.9363 0.8251 0.8571
```

Output
Symmetry ... Pna2_1 (33)
Volume ... 517.1 Å³ per cell
Raw total energy ... -6.097 eV per atom

***

6.
The following is a DFT calculation (PBE with a Hubbard U) of crystalline VTe4O12 at its relaxed geometry.

POSCAR file:
```
VTe4O12
1.0
-0.0848 2.8939 -4.2625
6.9669 6.8159 4.8259
4.7010 -6.4341 -4.3543
V Te O
2 8 24
Direct
0.0159 0.9665 0.6717
0.0162 0.4666 0.1719
0.9752 0.4612 0.4943
0.9751 0.9612 0.9941
0.5162 0.9924 0.4891
0.5162 0.4924 0.9892
0.9580 0.7765 0.2550
0.9579 0.2765 0.7551
0.5080 0.1891 0.2336
0.5080 0.6891 0.7336
0.3181 0.5766 0.1756
0.3181 0.0766 0.6755
0.1245 0.8576 0.1226
0.1244 0.3576 0.6229
0.2938 0.0665 0.0546
0.2938 0.5665 0.5546
0.2031 0.8788 0.4523
0.2029 0.3788 0.9524
0.8192 0.0885 0.1782
0.8192 0.5885 0.6782
0.3787 0.1082 0.3844
0.3787 0.6082 0.8844
0.7069 0.3751 0.0777
0.7068 0.8750 0.5776
0.1320 0.3622 0.2864
0.1318 0.8621 0.7861
0.8279 0.5982 0.0639
0.8280 0.0980 0.5636
0.6896 0.3396 0.4427
0.6896 0.8396 0.9427
0.8804 0.5668 0.3615
0.8803 0.0668 0.8614
0.6528 0.8854 0.2862
0.6528 0.3854 0.7863
```

Output
Volume ... 481.0 Å³ per cell
Raw total energy ... -5.720 eV per atom

***

Number 1: energy with MP2020 corrections -81.7 eV/f.u.. Number 2: energy with MP2020 corrections -60.7 eV/f.u.. Number 3: energy with MP2020 corrections -84.3 eV/f.u.. Number 4: energy with MP2020 corrections -102.0 eV/f.u.. Number 5: energy with MP2020 corrections -53.9 eV/f.u.. Number 6: energy with MP2020 corrections -107.2 eV/f.u..